A relaxed structure of LiLaNb4O12, computed with PBE.

The structure in POSCAR format:
```
LiLaNb4O12
1.0
8.9510 -3.9824 0.0000
8.9510 3.9824 0.0000
-3.6386 0.0000 10.7029
Li La Nb O
3 3 12 36
Cartesian
0.0000 0.0000 0.0000 Li
-0.0562 0.0000 8.9132 Li
7.1268 0.0000 5.3415 Li
5.3515 0.0000 1.7912 La
8.9100 0.0000 8.9178 La
16.0771 0.0000 5.3356 La
4.3982 2.0032 4.4640 Nb
2.6615 1.9919 9.7946 Nb
6.1741 1.9838 8.0332 Nb
8.0677 1.9931 2.6546 Nb
11.5971 1.9724 0.9307 Nb
9.8750 1.9923 6.2087 Nb
4.3982 -2.0032 4.4640 Nb
2.6615 -1.9919 9.7946 Nb
6.1741 -1.9838 8.0332 Nb
8.0677 -1.9931 2.6546 Nb
11.5971 -1.9724 0.9307 Nb
9.8750 -1.9923 6.2087 Nb
11.6076 -1.9913 5.3462 O
0.8239 1.9688 10.6791 O
-2.6037 0.0000 7.9351 O
3.7013 1.9057 2.6035 O
0.6700 0.0000 6.2835 O
4.4607 2.0817 8.9932 O
7.0372 1.9413 0.9462 O
5.4963 2.0340 6.1591 O
6.2567 1.9735 3.5752 O
2.8297 0.0000 0.8282 O
9.7978 2.0809 1.7027 O
8.7643 2.0349 4.5434 O
2.5024 0.0000 9.9202 O
8.0108 1.9962 7.1422 O
4.6041 0.0000 4.3325 O
7.2457 1.9788 9.7360 O
7.8723 0.0000 2.7033 O
3.7013 -1.9057 2.6035 O
0.8239 -1.9688 10.6791 O
10.5321 1.9435 8.0987 O
11.6076 1.9913 5.3462 O
6.3905 0.0000 7.9971 O
7.0372 -1.9413 0.9462 O
9.6536 0.0000 6.3701 O
6.2567 -1.9735 3.5752 O
11.7175 0.0000 0.7459 O
5.4963 -2.0340 6.1591 O
4.4607 -2.0817 8.9932 O
11.4339 0.0000 9.8162 O
8.7643 -2.0349 4.5434 O
8.0108 -1.9962 7.1422 O
7.2457 -1.9788 9.7360 O
9.7978 -2.0809 1.7027 O
13.5796 0.0000 4.4597 O
10.5321 -1.9435 8.0987 O
16.9029 0.0000 2.7812 O
```

Results
ΔE_f   -3.09 eV per atom
Total DFT energy (no corrections)   -8.560 eV per atom
ΔE to the lowest computed polymorph   0.011 eV/atom



A relaxed structure of Li5La3Nb2O12, computed with PBE.

The structure in POSCAR format:
```
Li5La3Nb2O12
1.0
-6.5631 6.5631 6.5631
6.5631 -6.5631 6.5631
6.5631 6.5631 -6.5631
Li La Nb O
20 12 8 48
Cartesian
4.9223 1.6408 -1.6408 Li
8.2038 -1.6408 1.6408 Li
9.8446 1.6408 0.0000 Li
6.5631 -3.2815 4.9223 Li
4.9223 6.5631 -3.2815 Li
1.6408 1.6408 1.6408 Li
1.6408 -1.6408 4.9223 Li
4.9223 0.0000 3.2815 Li
3.2815 4.9223 0.0000 Li
6.5631 3.2815 1.6408 Li
-1.6408 4.9223 1.6408 Li
1.6408 8.2038 -1.6408 Li
0.0000 3.2815 4.9223 Li
3.2815 1.6408 6.5631 Li
1.6408 6.5631 3.2815 Li
-1.6408 1.6408 8.2038 Li
4.9223 4.9223 4.9223 Li
1.6408 0.0000 9.8446 Li
0.0000 9.8446 1.6408 Li
-3.2815 4.9223 6.5631 Li
3.2815 1.6408 0.0000 La
6.5631 3.2815 -1.6408 La
1.6408 0.0000 3.2815 La
8.2038 0.0000 3.2815 La
0.0000 3.2815 1.6408 La
3.2815 -1.6408 6.5631 La
3.2815 8.2038 0.0000 La
6.5631 3.2815 4.9223 La
-1.6408 6.5631 3.2815 La
4.9223 6.5631 3.2815 La
0.0000 3.2815 8.2038 La
3.2815 4.9223 6.5631 La
0.0000 0.0000 0.0000 Nb
3.2815 3.2815 -3.2815 Nb
3.2815 -3.2815 3.2815 Nb
6.5631 0.0000 0.0000 Nb
-3.2815 3.2815 3.2815 Nb
0.0000 6.5631 0.0000 Nb
0.0000 0.0000 6.5631 Nb
3.2815 3.2815 3.2815 Nb
1.9022 -0.2752 0.7182 O
7.9424 3.9997 -3.5567 O
8.4652 0.2752 0.7182 O
7.9424 -2.5634 3.5567 O
6.2879 -0.7182 1.9022 O
10.1198 -1.3794 2.5634 O
0.7182 1.9022 -0.2752 O
9.1264 3.0064 -1.3794 O
3.9997 3.5567 -1.3794 O
5.8449 1.9022 0.2752 O
-0.2752 0.7182 1.9022 O
3.5567 -1.3794 3.9997 O
6.2879 5.8449 -1.9022 O
3.5567 1.3794 2.5634 O
3.9997 -3.5567 7.9424 O
5.8449 -1.9022 6.2879 O
2.5634 3.5567 1.3794 O
7.2812 4.6609 0.2752 O
3.5567 7.9424 -2.5634 O
6.2879 0.7182 4.6609 O
1.9022 6.2879 -0.7182 O
7.9424 2.5634 3.0064 O
1.3794 2.5634 3.5567 O
1.9022 0.2752 5.8449 O
4.6609 6.2879 0.7182 O
5.1837 3.9997 3.0064 O
-1.3794 3.9997 3.5567 O
4.6609 0.2752 7.2812 O
0.2752 5.8449 1.9022 O
3.0064 -1.3794 9.1264 O
-0.7182 1.9022 6.2879 O
3.9997 3.0064 5.1837 O
0.7182 8.4652 0.2752 O
2.5634 10.1198 -1.3794 O
3.0064 5.1837 3.9997 O
0.2752 0.7182 8.4652 O
3.0064 7.9424 2.5634 O
6.8382 5.8449 4.6609 O
0.7182 4.6609 6.2879 O
2.5634 3.0064 7.9424 O
-2.5634 3.5567 7.9424 O
5.8449 4.6609 6.8382 O
-3.5567 7.9424 3.9997 O
0.2752 7.2812 4.6609 O
-1.3794 9.1264 3.0064 O
-1.9022 6.2879 5.8449 O
-1.3794 2.5634 10.1198 O
4.6609 6.8382 5.8449 O
```

Results
ΔE_f   -2.85 eV per atom
Total DFT energy (no corrections)   -7.198 eV per atom
ΔE to the lowest computed polymorph   0.246 eV/atom



A relaxed structure of Li5La3Nb2O12, computed with PBE.

The structure in POSCAR format:
```
Li5La3Nb2O12
1.0
11.1407 0.0000 0.0000
-3.6803 10.5214 0.0000
-3.6617 -5.2798 9.1259
Li La Nb O
20 12 8 48
Cartesian
0.0000 0.0000 0.0000 Li
-3.7023 0.3641 5.9963 Li
-4.7647 -0.0092 8.6217 Li
-4.3880 3.1637 8.0949 Li
-3.7209 7.2556 5.2818 Li
-0.5380 4.4008 2.5478 Li
2.6465 -0.1306 1.0223 Li
-1.6283 2.2434 7.3218 Li
-1.1000 6.4855 4.6901 Li
0.0717 3.8961 5.7643 Li
3.0587 -1.2356 4.0454 Li
3.7599 2.1067 2.7232 Li
0.9751 1.0453 8.1271 Li
4.7046 4.5007 1.4110 Li
5.8531 -0.2036 3.6702 Li
3.5245 -0.8937 8.8564 Li
4.6767 5.5286 4.0394 Li
8.5258 -0.2637 1.9118 Li
8.3510 -1.9020 4.3169 Li
9.4581 2.3687 0.7462 Li
-3.4992 -2.6434 7.3380 La
-3.5801 5.3717 2.8376 La
-1.8113 2.0590 4.0320 La
0.0993 -1.1716 2.9034 La
1.9116 5.3847 0.6192 La
0.1431 -3.1183 8.4860 La
1.9528 1.4551 5.1639 La
2.0171 9.3685 0.5869 La
1.9463 7.1764 4.0434 La
3.8716 -3.8856 7.4828 La
5.6639 2.7823 5.1881 La
3.8384 2.1421 8.5862 La
-2.7431 4.7263 6.3120 Nb
-0.8096 7.4077 1.7213 Nb
-0.7765 -0.5064 6.3169 Nb
1.0394 2.1597 1.7702 Nb
4.7019 -0.5977 6.3012 Nb
6.5386 2.1139 1.7630 Nb
2.9094 4.6520 6.3222 Nb
4.7496 7.3992 1.6935 Nb
-4.3574 5.0754 5.1679 O
-2.1159 6.0180 0.9493 O
-0.6962 1.0007 1.8958 O
-1.7628 -0.3259 4.5024 O
-3.1747 2.7345 6.1492 O
-2.0690 8.7845 0.8922 O
0.0462 3.6093 0.7436 O
-2.5287 -0.2183 7.3674 O
-1.2155 -2.4680 6.5075 O
-2.1825 -3.9796 9.1132 O
-2.0900 7.4298 3.3452 O
-1.7344 4.5640 4.4960 O
0.4106 7.3582 0.1220 O
-3.5153 4.8952 8.1868 O
0.4788 2.8746 3.5665 O
0.8492 -0.8113 5.1785 O
-0.3684 1.4756 6.1144 O
1.9903 0.6752 2.7691 O
-2.2073 6.6476 6.4366 O
0.3850 6.0275 2.5618 O
0.0427 -0.6373 8.1479 O
2.7570 3.1962 1.4515 O
-1.0337 4.2754 7.3251 O
0.4422 8.7661 2.5027 O
3.4266 7.3665 0.1553 O
4.8710 1.0205 1.5578 O
3.8891 -2.2771 5.4976 O
1.1417 5.4555 5.6040 O
2.4015 -2.3617 9.1225 O
3.5728 5.9441 2.4582 O
4.2368 0.5209 4.6801 O
1.9826 3.0295 7.0062 O
3.4275 3.5342 4.7331 O
3.1150 0.2164 7.2015 O
7.4674 0.6780 0.6983 O
3.5567 8.7918 2.5713 O
5.9590 5.9891 0.8380 O
5.6569 3.6259 2.8118 O
3.7215 6.3663 5.4428 O
6.4692 -1.2822 5.4053 O
5.1959 -1.7072 7.9438 O
6.2475 -4.5429 7.8784 O
6.9983 1.3290 3.6061 O
6.0505 8.7929 1.0247 O
4.5763 3.9425 7.2038 O
5.7410 1.0297 7.0120 O
5.9674 7.3166 3.3587 O
8.2848 3.1900 2.0130 O
```

Results
ΔE_f   -3.09 eV per atom
Total DFT energy (no corrections)   -7.442 eV per atom
ΔE to the lowest computed polymorph   0.003 eV/atom



A relaxed structure of LiLa2Nb8O24, computed with PBE.

The structure in POSCAR format:
```
LiLa2Nb8O24
1.0
3.9739 -8.0457 0.0000
3.9739 8.0457 0.0000
0.0000 0.0000 7.9485
Li La Nb O
1 2 8 24
Cartesian
0.0000 0.0000 0.0000 Li
0.0000 0.0000 3.9742 La
3.9739 0.0000 0.0000 La
1.9961 2.0801 1.9970 Nb
1.9961 2.0801 5.9514 Nb
1.9961 -2.0801 1.9970 Nb
1.9961 -2.0801 5.9514 Nb
5.9518 2.0801 1.9970 Nb
5.9518 2.0801 5.9514 Nb
5.9518 -2.0801 1.9970 Nb
5.9518 -2.0801 5.9514 Nb
1.9870 4.0228 1.9860 O
1.9870 4.0228 5.9624 O
3.9739 6.2128 2.0281 O
3.9739 6.2128 5.9204 O
1.9006 1.8638 3.9742 O
2.0282 1.8337 0.0000 O
1.9627 0.0000 1.9624 O
1.9627 0.0000 5.9861 O
1.9006 -1.8638 3.9742 O
2.0282 -1.8337 0.0000 O
3.9739 1.8636 1.9011 O
3.9739 1.8636 6.0473 O
1.9870 -4.0228 1.9860 O
1.9870 -4.0228 5.9624 O
3.9739 -1.8636 1.9011 O
3.9739 -1.8636 6.0473 O
5.9196 1.8337 0.0000 O
6.0473 1.8638 3.9742 O
5.9852 0.0000 1.9624 O
5.9852 0.0000 5.9861 O
5.9196 -1.8337 0.0000 O
6.0473 -1.8638 3.9742 O
3.9739 -6.2128 2.0281 O
3.9739 -6.2128 5.9204 O
```

Results
ΔE_f   -3.09 eV per atom
Total DFT energy (no corrections)   -8.654 eV per atom